Record 1
VASP calculation (PBE) on a relaxed structure of Mg2Ga.

The value obtained for the raw total energy is -2.15 eV per atom. The value obtained for the theoretical density is 3.2 g cm⁻³. For the energy relative to the elements, the calculation gives -0.22 eV per formula unit. The calculated volume comes out at 249 Å³ per cell.

The space group is Cmcm (No. 63) and the conventional cell measures 9.9290, 5.0637 and 4.9459 Å, with angles of 90.00, 90.00 and 90.00 degrees. Symmetry generates all atoms from Mg at (0.1582, 0.2004, 0.2500) and Ga at (0.0000, 0.3063, 0.7500).

---

Record 2
VASP calculation (PBE) on a relaxed structure of Mg2Ga.

The value obtained for the raw total energy is -2.21 eV per atom. The value obtained for the theoretical density is 3.2 g cm⁻³. For the energy relative to the elements, the calculation gives -0.41 eV per formula unit. The calculated volume comes out at 367 Å³ per cell.

The space group is P-62c (No. 190) and the conventional cell measures 7.7775, 7.7775 and 7.0075 Å, with angles of 90.00, 90.00 and 120.00 degrees. Symmetry generates all atoms from Mg at (0.0000, 0.2780, 0.0000), Mg at (0.0216, 0.6282, 0.2500), Ga at (0.0000, 0.0000, 0.2500) and Ga at (0.3333, 0.6667, 0.5335).